The following is a PBE-GGA calculation of an optimized crystal structure of In2Ni21B6, from the Materials Project database.

formation energy = -263 meV/atom
space-group type = Fm-3m (225)

Cell: 7.4810 7.4810 7.4810 Å, 60.00 60.00 60.00°
Fractional coordinates of all 29 atoms:
In  0.2500  0.2500  0.2500
In  0.7500  0.7500  0.7500
Ni  0.0000  0.0000  0.0000
Ni  0.0000  0.0000  0.3361
Ni  0.0000  0.0000  0.6639
Ni  0.0000  0.3361  0.0000
Ni  0.0000  0.3361  0.6639
Ni  0.0000  0.6639  0.0000
Ni  0.0000  0.6639  0.3361
Ni  0.1587  0.6138  0.6138
Ni  0.3361  0.0000  0.0000
Ni  0.3361  0.0000  0.6639
Ni  0.3361  0.6639  0.0000
Ni  0.3862  0.3862  0.3862
Ni  0.3862  0.3862  0.8413
Ni  0.3862  0.8413  0.3862
Ni  0.6138  0.1587  0.6138
Ni  0.6138  0.6138  0.1587
Ni  0.6138  0.6138  0.6138
Ni  0.6639  0.0000  0.0000
Ni  0.6639  0.0000  0.3361
Ni  0.6639  0.3361  0.0000
Ni  0.8413  0.3862  0.3862
B  0.2725  0.2725  0.7275
B  0.2725  0.7275  0.2725
B  0.2725  0.7275  0.7275
B  0.7275  0.2725  0.2725
B  0.7275  0.2725  0.7275
B  0.7275  0.7275  0.2725